Material: NdFe2Si2
Method: DFT, GGA-PBE
State: relaxed

Unit cell a=5.6473 b=5.6473 c=5.6473 alpha=138.29 beta=138.29 gamma=60.46
Last column: nearest neighbours and their distance in Å.
Sites, in units of the cell vectors:
Nd: 0.0000 0.0000 0.0000  10 Si 3.15-3.51, 8 Fe 3.16
Fe: 0.2500 0.7500 0.5000  4 Si 2.28
Fe: 0.7500 0.2500 0.5000  4 Si 2.28
Si: 0.3601 0.3601 0.0000  4 Fe 2.28
Si: 0.6399 0.6399 0.0000  4 Fe 2.28

Computed properties:
The space group is I4/mmm.

***

Material: NdFe10Si2
Method: DFT, GGA-PBE
State: relaxed

Unit cell a=6.4052 b=6.4052 c=6.4052 alpha=136.68 beta=98.22 gamma=97.44
Last column: nearest neighbours and their distance in Å.
Sites, in units of the cell vectors:
Nd: 0.0000 0.0000 0.0000  16 Fe 2.98-3.20, 4 Si 3.13
Fe: 0.0000 0.0000 0.5000  8 Fe 2.36-2.59, 2 Si 2.41
Fe: 0.0000 0.5000 0.0000  8 Fe 2.36-2.59, 2 Si 2.41
Fe: 0.2155 0.5000 0.7155  8 Fe 2.44-2.65, 2 Si 2.73
Fe: 0.3562 0.0000 0.3562  7 Fe 2.41-2.64, 2 Si 2.49
Fe: 0.3624 0.3624 0.0000  5 Fe 2.33-2.59, 2 Si 2.57
Fe: 0.5000 0.0000 0.0000  8 Fe 2.36-2.59, 2 Si 2.41
Fe: 0.5000 0.5000 0.5000  8 Fe 2.36-2.59, 2 Si 2.41
Fe: 0.6376 0.6376 0.0000  5 Fe 2.33-2.59, 2 Si 2.57
Fe: 0.6438 0.0000 0.6438  7 Fe 2.41-2.64, 2 Si 2.49
Fe: 0.7845 0.5000 0.2845  8 Fe 2.44-2.65, 2 Si 2.73
Si: 0.2420 0.7420 0.5000  8 Fe 2.41-2.57
Si: 0.7580 0.2580 0.5000  8 Fe 2.41-2.57

Computed properties:
The space group is Immm. The size of the total moment comes out at 20.519 μB per cell.

***

Material: Nd2FeSi3
Method: DFT, GGA-PBE
State: relaxed

Unit cell a=4.0299 b=4.0299 c=8.5533 alpha=90.00 beta=90.00 gamma=120.00
Last column: nearest neighbours and their distance in Å.
Sites, in units of the cell vectors:
Nd: 0.0000 0.0000 0.2440  3 Fe 3.13, 9 Si 3.13-3.20
Nd: 0.0000 0.0000 0.7560  3 Fe 3.13, 9 Si 3.13-3.20
Fe: 0.3333 0.6667 0.0000  3 Si 2.33
Si: 0.3333 0.6667 0.5000  3 Si 2.33
Si: 0.6667 0.3333 0.0000  3 Fe 2.33
Si: 0.6667 0.3333 0.5000  3 Si 2.33

Computed properties:
The space group is P-6m2. The size of the total moment comes out at 2.032 μB per cell.

***

no.,mass density (Mg/m³),energy of formation (eV/atom)
1,6.57,-0.595
2,7.52,-0.197
3,5.92,-0.454